10
Lattice="0.000 5.115 5.115 5.115 0.000 5.115 5.115 5.115 0.000" Properties=species:S:1:pos:R:3 comment="K2LiInCl6 | Materials Project | GGA-PBE | optimized geometry" m_tot_mub_per_fu=0.0 final_energy_ev_per_cell=-33.847 pbc="T T T"
K 2.558 2.558 2.558
K 7.673 7.673 7.673
Li 0.000 0.000 0.000
In 5.115 5.115 5.115
Cl 5.115 5.115 2.576
Cl 5.115 2.576 5.115
Cl 7.654 5.115 5.115
Cl 2.576 5.115 5.115
Cl 5.115 7.654 5.115
Cl 5.115 5.115 7.654

10
Lattice="0.000 5.268 5.268 5.268 0.000 5.268 5.268 5.268 0.000" Properties=species:S:1:pos:R:3 comment="K2NaInCl6 | Materials Project | GGA-PBE | optimized geometry" m_tot_mub_per_fu=0.0 final_energy_ev_per_cell=-33.228 pbc="T T T"
K 2.634 2.634 2.634
K 7.902 7.902 7.902
Na 0.000 0.000 0.000
In 5.268 5.268 5.268
Cl 5.268 5.268 2.734
Cl 5.268 2.734 5.268
Cl 7.802 5.268 5.268
Cl 2.734 5.268 5.268
Cl 5.268 7.802 5.268
Cl 5.268 5.268 7.802

60
Lattice="3.293 -5.668 0.000 3.293 5.668 0.000 -0.460 0.000 35.890" Properties=species:S:1:pos:R:3 comment="Li3InCl6 | Materials Project | GGA-PBE | optimized geometry" m_tot_mub_per_fu=0.0 polymorph_energy_kj_per_mol_fu=0.0 pbc="T T T"
Li 6.468 0.000 8.973
Li -0.342 0.000 26.917
Li 1.921 3.665 20.942
Li 0.676 1.772 32.899
Li 2.157 3.557 2.991
Li 1.836 -0.064 20.947
Li 2.157 -0.012 2.991
Li 3.167 1.770 8.974
Li 4.205 3.665 14.948
Li 2.959 1.770 26.916
Li 3.969 3.557 32.899
Li 3.969 -0.012 32.899
Li 5.450 1.772 2.991
Li 2.942 -2.113 26.917
Li 4.290 -0.064 14.944
Li 3.185 -2.113 8.974
Li 2.045 -3.956 20.928
Li 4.081 -3.956 14.962
In 1.022 1.773 5.982
In 0.805 1.781 23.928
In 3.063 5.527 17.945
In 3.293 1.773 0.000
In 5.321 1.781 11.962
In 5.104 1.773 29.908
Cl 2.001 3.525 7.594
Cl 1.778 3.519 25.523
Cl 2.070 3.806 16.353
Cl 0.787 1.642 19.421
Cl 0.046 0.023 4.368
Cl -0.200 -0.008 22.454
Cl 1.233 1.773 1.448
Cl 1.857 3.523 34.276
Cl 1.800 -0.125 16.347
Cl 1.994 0.018 7.595
Cl 2.824 1.774 22.351
Cl 1.787 0.033 25.544
Cl 4.057 3.806 19.538
Cl 3.080 1.772 4.535
Cl 4.269 3.523 1.614
Cl 1.858 0.023 34.276
Cl 3.046 1.772 31.355
Cl 4.348 3.519 10.368
Cl 4.125 3.525 28.296
Cl 3.303 1.774 13.539
Cl 4.269 0.023 1.614
Cl 4.893 1.773 34.442
Cl 2.788 -2.146 31.522
Cl 3.028 -2.148 13.574
Cl 4.339 0.033 10.347
Cl 4.132 0.018 28.295
Cl 5.339 1.642 16.469
Cl 2.023 -3.880 25.393
Cl 2.252 -3.893 7.430
Cl 3.099 -2.148 22.316
Cl 3.339 -2.146 4.368
Cl 4.326 -0.125 19.543
Cl 6.081 0.023 31.522
Cl 4.103 -3.880 10.497
Cl 3.875 -3.893 28.460
Cl 6.326 -0.008 13.436

10
Lattice="0.000 5.019 5.019 5.019 0.000 5.019 5.019 5.019 0.000" Properties=species:S:1:pos:R:3 comment="Li3InCl6 | Materials Project | GGA-PBE | optimized geometry" m_tot_mub_per_fu=0.0 polymorph_energy_kj_per_mol_fu=223.7 pbc="T T T"
Li 0.000 0.000 0.000
Li 2.510 2.510 2.510
Li 7.529 7.529 7.529
In 5.019 5.019 5.019
Cl 5.019 5.019 2.503
Cl 5.019 2.503 5.019
Cl 7.536 5.019 5.019
Cl 2.503 5.019 5.019
Cl 5.019 7.536 5.019
Cl 5.019 5.019 7.536

10
Lattice="0.000 5.215 5.215 5.215 0.000 5.215 5.215 5.215 0.000" Properties=species:S:1:pos:R:3 comment="Na3InCl6 | Materials Project | GGA-PBE | optimized geometry" m_tot_mub_per_fu=0.0 final_energy_ev_per_cell=-31.725 pbc="T T T"
Na 0.000 0.000 0.000
Na 2.607 2.607 2.607
Na 7.822 7.822 7.822
In 5.215 5.215 5.215
Cl 5.215 5.215 2.692
Cl 5.215 2.692 5.215
Cl 7.737 5.215 5.215
Cl 2.692 5.215 5.215
Cl 5.215 7.737 5.215
Cl 5.215 5.215 7.737

20
Lattice="7.006 0.000 0.000 -3.503 6.067 0.000 0.000 0.000 12.597" Properties=species:S:1:pos:R:3 comment="Na3InCl6 | Materials Project | GGA-PBE | optimized geometry" final_energy_ev_per_cell=-66.372 pbc="T T T"
Na 0.000 0.000 3.149
Na 0.000 0.000 9.448
Na 0.000 4.045 0.517
Na 0.000 4.045 5.781
Na 3.503 2.022 6.816
Na 3.503 2.022 12.080
In 0.000 4.045 9.448
In 3.503 2.022 3.149
Cl -0.944 2.216 7.926
Cl -2.056 4.142 10.970
Cl 0.944 2.216 10.970
Cl -1.112 5.777 7.926
Cl 2.391 0.290 1.628
Cl 1.447 1.926 4.671
Cl 2.056 4.142 7.926
Cl 1.112 5.777 10.970
Cl 4.614 0.290 4.671
Cl 2.559 3.851 1.628
Cl 5.559 1.926 1.628
Cl 4.447 3.851 4.671

10
Lattice="0.000 5.303 5.303 5.303 0.000 5.303 5.303 5.303 0.000" Properties=species:S:1:pos:R:3 comment="Rb2NaInCl6 | Materials Project | GGA-PBE | optimized geometry" m_tot_mub_per_fu=0.0 final_energy_ev_per_cell=-33.301 pbc="T T T"
Rb 2.652 2.652 2.652
Rb 7.955 7.955 7.955
Na 0.000 0.000 0.000
In 5.303 5.303 5.303
Cl 5.303 5.303 2.763
Cl 5.303 2.763 5.303
Cl 7.843 5.303 5.303
Cl 2.763 5.303 5.303
Cl 5.303 7.843 5.303
Cl 5.303 5.303 7.843

88
Lattice="18.164 0.000 0.000 0.000 13.646 0.000 0.000 0.000 9.456" Properties=species:S:1:pos:R:3 comment="Nb6InCl15 | Materials Project | GGA-PBE | optimized geometry" m_tot_mub_per_fu=0.0 final_energy_ev_per_cell=-471.870 pbc="T T T"
Nb 0.529 1.486 1.393
Nb 0.529 12.161 1.393
Nb 1.924 0.000 8.701
Nb 3.048 5.330 3.152
Nb 3.048 8.317 3.152
Nb 4.541 6.823 1.113
Nb 4.541 6.823 5.207
Nb 6.034 5.330 3.152
Nb 6.034 8.317 3.152
Nb 7.158 0.000 8.701
Nb 8.553 1.486 1.393
Nb 8.553 12.161 1.393
Nb 9.611 1.486 8.063
Nb 9.611 12.161 8.063
Nb 11.006 0.000 0.755
Nb 12.129 5.330 6.304
Nb 12.129 8.317 6.304
Nb 13.623 6.823 4.249
Nb 13.623 6.823 8.343
Nb 15.116 5.330 6.304
Nb 15.116 8.317 6.304
Nb 16.240 0.000 0.755
Nb 17.634 1.486 8.063
Nb 17.634 12.161 8.063
In 4.541 3.345 7.732
In 4.541 10.302 7.732
In 13.623 3.345 1.724
In 13.623 10.302 1.724
Cl 0.000 3.446 0.000
Cl 0.000 10.201 0.000
Cl 1.073 6.823 3.127
Cl 1.174 3.407 3.160
Cl 1.174 10.239 3.160
Cl 1.256 0.000 3.234
Cl 1.681 1.721 6.925
Cl 1.681 11.925 6.925
Cl 2.763 5.121 5.612
Cl 2.763 8.525 5.612
Cl 2.803 5.126 0.696
Cl 2.803 8.520 0.696
Cl 2.898 1.691 0.743
Cl 2.898 11.955 0.743
Cl 4.541 0.000 7.691
Cl 4.541 3.365 3.259
Cl 4.541 6.823 7.876
Cl 4.541 10.281 3.259
Cl 6.184 1.691 0.743
Cl 6.184 11.955 0.743
Cl 6.279 5.126 0.696
Cl 6.279 8.520 0.696
Cl 6.319 5.121 5.612
Cl 6.319 8.525 5.612
Cl 7.401 1.721 6.925
Cl 7.401 11.925 6.925
Cl 7.826 0.000 3.234
Cl 7.907 3.407 3.160
Cl 7.907 10.239 3.160
Cl 8.009 6.823 3.127
Cl 9.082 3.446 0.000
Cl 9.082 10.201 0.000
Cl 10.155 6.823 6.330
Cl 10.256 3.407 6.296
Cl 10.256 10.239 6.296
Cl 10.337 0.000 6.222
Cl 10.762 1.721 2.531
Cl 10.762 11.925 2.531
Cl 11.845 5.121 3.844
Cl 11.845 8.525 3.844
Cl 11.885 5.126 8.760
Cl 11.885 8.520 8.760
Cl 11.980 1.691 8.713
Cl 11.980 11.955 8.713
Cl 13.623 0.000 1.765
Cl 13.623 3.365 6.197
Cl 13.623 6.823 1.580
Cl 13.623 10.281 6.197
Cl 15.266 1.691 8.713
Cl 15.266 11.955 8.713
Cl 15.360 5.126 8.760
Cl 15.360 8.520 8.760
Cl 15.400 5.121 3.844
Cl 15.400 8.525 3.844
Cl 16.483 1.721 2.531
Cl 16.483 11.925 2.531
Cl 16.908 0.000 6.222
Cl 16.989 3.407 6.296
Cl 16.989 10.239 6.296
Cl 17.090 6.823 6.330